# 1
The following is a PBE+U calculation of an optimized crystal structure of FeB2P2H3O12, from Materials Project.

Geometry as POSCAR:
```
FeB2P2H3O12
1.0
8.463 -3.302 0.000
8.463 3.302 0.000
-1.314 0.000 6.762
Fe B P H O
2 4 4 6 24
direct
0.000 0.500 0.000 Fe
0.500 0.000 0.500 Fe
0.151 0.666 0.345 B
0.334 0.849 0.155 B
0.666 0.151 0.845 B
0.849 0.334 0.655 B
0.013 0.270 0.321 P
0.270 0.013 0.821 P
0.730 0.987 0.179 P
0.987 0.730 0.679 P
0.323 0.348 0.264 H
0.348 0.323 0.764 H
0.500 0.500 0.000 H
0.500 0.500 0.500 H
0.652 0.677 0.236 H
0.677 0.652 0.736 H
0.045 0.118 0.716 O
0.112 0.556 0.826 O
0.118 0.045 0.216 O
0.169 0.649 0.557 O
0.182 0.499 0.224 O
0.183 0.244 0.453 O
0.244 0.183 0.953 O
0.351 0.831 0.943 O
0.360 0.614 0.349 O
0.386 0.640 0.151 O
0.444 0.888 0.674 O
0.499 0.182 0.724 O
0.501 0.818 0.276 O
0.556 0.112 0.326 O
0.614 0.360 0.849 O
0.640 0.386 0.651 O
0.649 0.169 0.057 O
0.756 0.817 0.047 O
0.817 0.756 0.547 O
0.818 0.501 0.776 O
0.831 0.351 0.443 O
0.882 0.955 0.784 O
0.888 0.444 0.174 O
0.955 0.882 0.284 O
```

Summary:
calculated total energy	-6.696	eV per atom

---

# 2
The following is a PBE+U calculation of an optimized crystal structure of RbFeBP2HO9, from Materials Project.

Geometry as POSCAR:
```
RbFeBP2HO9
1.0
9.522 0.000 0.000
0.000 8.498 0.000
-2.042 0.000 9.622
Rb Fe B P H O
4 4 4 8 4 36
direct
0.195 0.100 0.064 Rb
0.195 0.400 0.564 Rb
0.805 0.600 0.436 Rb
0.805 0.900 0.936 Rb
0.206 0.657 0.931 Fe
0.206 0.843 0.431 Fe
0.794 0.157 0.569 Fe
0.794 0.343 0.069 Fe
0.336 0.057 0.694 B
0.336 0.443 0.194 B
0.664 0.557 0.806 B
0.664 0.943 0.306 B
0.076 0.562 0.207 P
0.076 0.938 0.707 P
0.421 0.741 0.717 P
0.421 0.759 0.217 P
0.579 0.241 0.783 P
0.579 0.259 0.283 P
0.924 0.062 0.293 P
0.924 0.438 0.793 P
0.401 0.079 0.506 H
0.401 0.421 0.006 H
0.599 0.579 0.994 H
0.599 0.921 0.494 H
0.073 0.512 0.808 O
0.073 0.988 0.308 O
0.091 0.664 0.082 O
0.091 0.836 0.582 O
0.105 0.654 0.346 O
0.105 0.846 0.846 O
0.192 0.075 0.726 O
0.192 0.425 0.226 O
0.314 0.052 0.539 O
0.314 0.448 0.039 O
0.344 0.633 0.803 O
0.344 0.867 0.303 O
0.365 0.720 0.560 O
0.365 0.780 0.060 O
0.414 0.203 0.747 O
0.414 0.297 0.247 O
0.414 0.582 0.261 O
0.414 0.918 0.761 O
0.586 0.082 0.239 O
0.586 0.418 0.739 O
0.586 0.703 0.753 O
0.586 0.797 0.253 O
0.635 0.220 0.940 O
0.635 0.280 0.440 O
0.656 0.133 0.697 O
0.656 0.367 0.197 O
0.686 0.552 0.961 O
0.686 0.948 0.461 O
0.808 0.575 0.774 O
0.808 0.925 0.274 O
0.895 0.154 0.154 O
0.895 0.346 0.654 O
0.909 0.164 0.418 O
0.909 0.336 0.918 O
0.927 0.012 0.692 O
0.927 0.488 0.192 O
```

Summary:
calculated total energy	-6.898	eV per atom

---

# 3
The following is a PBE+U calculation of an optimized crystal structure of SrFeBP2H2O10, from Materials Project.

Geometry as POSCAR:
```
SrFeBP2H2O10
1.0
6.681 0.000 0.000
-1.584 6.551 0.000
-1.935 -3.749 8.392
Sr Fe B P H O
2 2 2 4 4 20
direct
0.155 0.389 0.266 Sr
0.845 0.611 0.734 Sr
0.000 0.000 0.500 Fe
0.500 0.000 0.000 Fe
0.471 0.226 0.753 B
0.529 0.774 0.247 B
0.143 0.875 0.167 P
0.292 0.535 0.676 P
0.708 0.465 0.324 P
0.857 0.125 0.833 P
0.295 0.248 0.917 H
0.344 0.893 0.589 H
0.656 0.107 0.411 H
0.705 0.752 0.083 H
0.060 0.295 0.963 O
0.072 0.339 0.591 O
0.081 0.022 0.308 O
0.263 0.717 0.817 O
0.282 0.040 0.114 O
0.299 0.761 0.235 O
0.319 0.039 0.605 O
0.369 0.631 0.564 O
0.424 0.207 0.896 O
0.466 0.442 0.748 O
0.534 0.558 0.252 O
0.576 0.793 0.104 O
0.631 0.369 0.436 O
0.681 0.961 0.395 O
0.701 0.239 0.765 O
0.718 0.960 0.886 O
0.737 0.283 0.183 O
0.919 0.978 0.692 O
0.928 0.661 0.409 O
0.940 0.705 0.037 O
```

Summary:
excess energy over the best structure of this formula in the dataset	0	meV per atom

---

# 4
The following is a PBE+U calculation of an optimized crystal structure of HoFe3B4O12, from Materials Project.

Geometry as POSCAR:
```
HoFe3B4O12
1.0
9.600 0.000 0.000
-4.800 8.314 0.000
0.000 0.000 7.628
Ho Fe B O
3 9 12 36
direct
0.000 0.664 0.167 Ho
0.336 0.336 0.500 Ho
0.664 0.000 0.833 Ho
0.000 0.116 0.167 Fe
0.116 0.000 0.833 Fe
0.212 0.549 0.845 Fe
0.337 0.788 0.512 Fe
0.451 0.663 0.178 Fe
0.549 0.212 0.155 Fe
0.663 0.451 0.822 Fe
0.788 0.337 0.488 Fe
0.884 0.884 0.500 Fe
0.000 0.221 0.667 B
0.000 0.669 0.667 B
0.125 0.449 0.349 B
0.221 0.000 0.333 B
0.323 0.875 0.016 B
0.331 0.331 0.000 B
0.449 0.125 0.651 B
0.551 0.677 0.683 B
0.669 0.000 0.333 B
0.677 0.551 0.317 B
0.779 0.779 0.000 B
0.875 0.323 0.984 B
0.000 0.078 0.667 O
0.000 0.812 0.667 O
0.009 0.475 0.983 O
0.078 0.000 0.333 O
0.124 0.306 0.323 O
0.145 0.670 0.675 O
0.147 0.361 0.686 O
0.181 0.876 0.990 O
0.188 0.188 0.000 O
0.214 0.853 0.353 O
0.276 0.581 0.375 O
0.305 0.724 0.042 O
0.306 0.124 0.677 O
0.330 0.474 0.008 O
0.361 0.147 0.314 O
0.419 0.695 0.709 O
0.466 0.991 0.650 O
0.474 0.330 0.992 O
0.475 0.009 0.017 O
0.525 0.534 0.316 O
0.526 0.855 0.342 O
0.534 0.525 0.684 O
0.581 0.276 0.625 O
0.639 0.786 0.020 O
0.670 0.145 0.325 O
0.694 0.819 0.657 O
0.695 0.419 0.291 O
0.724 0.305 0.958 O
0.786 0.639 0.980 O
0.812 0.000 0.333 O
0.819 0.694 0.343 O
0.853 0.214 0.647 O
0.855 0.526 0.658 O
0.876 0.181 0.010 O
0.922 0.922 0.000 O
0.991 0.466 0.350 O
```

Summary:
calculated total energy	-7.632	eV per atom

---

# 5
The following is a PBE+U calculation of an optimized crystal structure of HoFe3B4O12, from Materials Project.

Geometry as POSCAR:
```
HoFe3B4O12
1.0
4.826 2.786 2.544
-4.826 2.786 2.544
0.000 -5.573 2.544
Ho Fe B O
1 3 4 12
direct
0.000 0.000 0.000 Ho
0.000 0.547 0.453 Fe
0.453 0.000 0.547 Fe
0.547 0.453 0.000 Fe
0.048 0.500 0.952 B
0.500 0.500 0.500 B
0.500 0.952 0.048 B
0.952 0.048 0.500 B
0.026 0.633 0.799 O
0.095 0.905 0.500 O
0.201 0.367 0.974 O
0.357 0.643 0.500 O
0.367 0.974 0.201 O
0.500 0.095 0.905 O
0.500 0.357 0.643 O
0.633 0.799 0.026 O
0.643 0.500 0.357 O
0.799 0.026 0.633 O
0.905 0.500 0.095 O
0.974 0.201 0.367 O
```

Summary:
calculated total energy	-7.631	eV per atom

---

# 6
The following is a PBE+U calculation of an optimized crystal structure of K2Fe2B2O7, from Materials Project.

Geometry as POSCAR:
```
K2Fe2B2O7
1.0
8.860 0.000 0.000
-4.430 7.673 0.000
0.000 0.000 8.706
K Fe B O
6 6 6 21
direct
0.000 0.319 0.000 K
0.000 0.352 0.500 K
0.319 0.000 0.000 K
0.352 0.000 0.500 K
0.648 0.648 0.500 K
0.681 0.681 0.000 K
0.000 0.000 0.287 Fe
0.000 0.000 0.713 Fe
0.333 0.667 0.235 Fe
0.333 0.667 0.807 Fe
0.667 0.333 0.193 Fe
0.667 0.333 0.765 Fe
0.002 0.666 0.259 B
0.334 0.336 0.259 B
0.336 0.334 0.741 B
0.664 0.998 0.259 B
0.666 0.002 0.741 B
0.998 0.664 0.741 B
0.000 0.000 0.500 O
0.067 0.837 0.782 O
0.101 0.587 0.742 O
0.163 0.230 0.782 O
0.175 0.740 0.302 O
0.230 0.163 0.218 O
0.260 0.435 0.302 O
0.333 0.667 0.021 O
0.413 0.514 0.742 O
0.435 0.260 0.698 O
0.486 0.899 0.742 O
0.514 0.413 0.258 O
0.565 0.825 0.302 O
0.587 0.101 0.258 O
0.667 0.333 0.979 O
0.740 0.175 0.698 O
0.770 0.933 0.782 O
0.825 0.565 0.698 O
0.837 0.067 0.218 O
0.899 0.486 0.258 O
0.933 0.770 0.218 O
```

Summary:
calculated total energy	-6.711	eV per atom

---

# 7
The following is a PBE+U calculation of an optimized crystal structure of Li2MnFeB2O6, from Materials Project.

Geometry as POSCAR:
```
Li2MnFeB2O6
1.0
8.267 0.000 0.000
0.000 3.165 0.000
-0.008 0.000 14.277
Li Mn Fe B O
6 3 3 6 18
direct
0.000 0.000 0.000 Li
0.025 0.000 0.708 Li
0.073 0.000 0.339 Li
0.499 0.000 0.499 Li
0.524 0.000 0.207 Li
0.572 0.000 0.841 Li
0.173 0.500 0.529 Mn
0.673 0.500 0.029 Mn
0.691 0.500 0.663 Mn
0.189 0.500 0.165 Fe
0.227 0.500 0.853 Fe
0.729 0.500 0.353 Fe
0.362 0.000 0.016 B
0.364 0.000 0.684 B
0.367 0.500 0.349 B
0.864 0.000 0.514 B
0.866 0.000 0.183 B
0.866 0.500 0.850 B
0.004 0.500 0.793 O
0.017 0.000 0.141 O
0.017 0.000 0.473 O
0.215 0.500 0.307 O
0.224 0.000 0.630 O
0.226 0.000 0.958 O
0.346 0.000 0.113 O
0.353 0.000 0.781 O
0.382 0.500 0.446 O
0.506 0.500 0.293 O
0.514 0.000 0.640 O
0.516 0.000 0.975 O
0.713 0.500 0.810 O
0.726 0.000 0.129 O
0.727 0.000 0.458 O
0.851 0.000 0.612 O
0.854 0.000 0.281 O
0.884 0.500 0.947 O
```

Summary:
excess energy over the best structure of this formula in the dataset	2	meV per atom

---

# 8
The following is a PBE+U calculation of an optimized crystal structure of Li4Mn3FeB4O12, from Materials Project.

Geometry as POSCAR:
```
Li4Mn3FeB4O12
1.0
5.250 0.000 0.000
-2.613 4.559 0.000
-0.223 -0.621 20.994
Li Mn Fe B O
8 6 2 8 24
direct
0.000 0.000 0.000 Li
0.000 0.000 0.499 Li
0.011 0.989 0.749 Li
0.013 0.990 0.249 Li
0.670 0.685 0.374 Li
0.670 0.687 0.874 Li
0.696 0.661 0.124 Li
0.698 0.659 0.624 Li
0.025 0.335 0.641 Mn
0.342 0.663 0.017 Mn
0.345 0.667 0.516 Mn
0.346 0.014 0.892 Mn
0.348 0.016 0.391 Mn
0.678 0.334 0.767 Mn
0.024 0.331 0.143 Fe
0.684 0.341 0.265 Fe
0.007 0.340 0.895 B
0.007 0.341 0.395 B
0.343 0.672 0.770 B
0.344 0.670 0.269 B
0.351 0.000 0.146 B
0.351 0.996 0.645 B
0.682 0.331 0.021 B
0.683 0.333 0.520 B
0.076 0.967 0.652 O
0.078 0.981 0.152 O
0.096 0.408 0.250 O
0.102 0.408 0.749 O
0.277 0.591 0.911 O
0.278 0.592 0.410 O
0.311 0.915 0.785 O
0.323 0.920 0.283 O
0.368 0.754 0.127 O
0.382 0.758 0.625 O
0.419 0.091 0.499 O
0.420 0.089 0.000 O
0.601 0.267 0.660 O
0.604 0.268 0.159 O
0.614 0.683 0.276 O
0.618 0.696 0.778 O
0.706 0.606 0.028 O
0.707 0.607 0.527 O
0.769 0.370 0.875 O
0.770 0.371 0.374 O
0.926 0.300 0.037 O
0.926 0.300 0.536 O
0.978 0.066 0.402 O
0.978 0.066 0.903 O
```

Summary:
excess energy over the best structure of this formula in the dataset	1	meV per atom

---

# 9
The following is a PBE+U calculation of an optimized crystal structure of Li8MnFe7B8O24, from Materials Project.

Geometry as POSCAR:
```
Li8MnFe7B8O24
1.0
5.240 0.000 0.000
2.455 5.440 0.000
2.467 -1.009 17.507
Li Mn Fe B O
8 1 7 8 24
direct
0.000 0.000 0.000 Li
0.043 0.927 0.284 Li
0.245 0.252 0.250 Li
0.294 0.176 0.533 Li
0.497 0.501 0.500 Li
0.541 0.426 0.784 Li
0.746 0.755 0.748 Li
0.792 0.676 0.035 Li
0.003 0.422 0.870 Mn
0.042 0.500 0.411 Fe
0.243 0.680 0.122 Fe
0.294 0.748 0.661 Fe
0.495 0.930 0.372 Fe
0.551 0.995 0.914 Fe
0.747 0.179 0.621 Fe
0.789 0.251 0.162 Fe
0.133 0.894 0.831 B
0.160 0.280 0.700 B
0.379 0.149 0.083 B
0.411 0.534 0.952 B
0.630 0.397 0.332 B
0.660 0.780 0.201 B
0.880 0.647 0.582 B
0.910 0.030 0.451 B
0.102 0.550 0.522 O
0.140 0.099 0.084 O
0.147 0.138 0.639 O
0.149 0.031 0.894 O
0.151 0.077 0.450 O
0.185 0.628 0.011 O
0.354 0.799 0.773 O
0.389 0.350 0.334 O
0.394 0.289 0.145 O
0.399 0.329 0.699 O
0.402 0.390 0.891 O
0.439 0.878 0.261 O
0.601 0.053 0.024 O
0.641 0.597 0.584 O
0.643 0.641 0.140 O
0.646 0.536 0.394 O
0.646 0.588 0.951 O
0.689 0.127 0.510 O
0.852 0.300 0.273 O
0.890 0.850 0.832 O
0.894 0.891 0.389 O
0.897 0.787 0.643 O
0.900 0.828 0.200 O
0.935 0.378 0.758 O
```

Summary:
excess energy over the best structure of this formula in the dataset	3	meV per atom

---

Number 1: V 9.45 A^3/atom. Number 2: V 12.98 A^3/atom. Number 3: V 10.80 A^3/atom. Number 4: V 10.15 A^3/atom. Number 5: V 10.26 A^3/atom. Number 6: V 15.18 A^3/atom. Number 7: V 10.38 A^3/atom. Number 8: V 10.47 A^3/atom. Number 9: V 10.40 A^3/atom.